The following is a DFT calculation (GGA-PBE) of KGaH4 after structural relaxation.

Formation enthalpy at 0 K   -0.2949 eV per atom
Energy   -3.1271 eV/atom

abc: 9.1684 5.6439 7.3428
angles: 90.00 90.00 90.00
Space group Pnma (No. 62)
Asymmetric unit:
K 0.1866 0.2500 0.1553 x4
Ga 0.0619 0.2500 0.6886 x4
H 0.0828 0.0205 0.8156 x8
H 0.0975 0.7500 0.3932 x4
H 0.1862 0.2500 0.5363 x4